Record 1
Crystalline ThMn2Ge2 at its relaxed geometry. Source: the Materials Project database, functional PBE.

```
ThMn2Ge2
1.0
-2.017 2.017 5.442
2.017 -2.017 5.442
2.017 2.017 -5.442
Th Mn Ge
1 2 2
Direct
0.000 0.000 0.000
0.250 0.750 0.500
0.750 0.250 0.500
0.377 0.377 0.000
0.623 0.623 0.000
```

The value obtained for the total DFT energy (no corrections) is -7.466 eV per atom. As for the crystal system: tetragonal.

***

Record 2
Crystalline KNa2GaO3 at its relaxed geometry. Source: the Materials Project database, functional PBE.

```
KNa2GaO3
1.0
6.566 0.000 0.000
0.000 6.246 0.000
0.000 0.000 10.348
K Na Ga O
4 8 4 12
Direct
0.160 0.250 0.026
0.340 0.750 0.526
0.660 0.250 0.474
0.840 0.750 0.974
0.008 0.007 0.731
0.008 0.493 0.731
0.492 0.507 0.231
0.492 0.993 0.231
0.508 0.007 0.769
0.508 0.493 0.769
0.992 0.507 0.269
0.992 0.993 0.269
0.170 0.250 0.492
0.330 0.750 0.992
0.670 0.250 0.008
0.830 0.750 0.508
0.000 0.000 0.500
0.000 0.500 0.500
0.175 0.750 0.141
0.214 0.750 0.830
0.286 0.250 0.330
0.325 0.250 0.641
0.500 0.000 0.000
0.500 0.500 0.000
0.675 0.750 0.359
0.714 0.750 0.670
0.786 0.250 0.170
0.825 0.250 0.859
```

The value obtained for the total DFT energy (no corrections) is -4.730 eV per atom. As for the crystal system: orthorhombic.

***

Record 3
Crystalline Na21Ta4Zn8Si3P15O72 at its relaxed geometry. Source: the Materials Project database, functional PBE.

```
Na21Ta4Zn8Si3P15O72
1.0
9.052 0.000 0.000
4.511 7.864 0.000
0.093 -0.003 22.018
Na Ta Zn Si P O
21 4 8 3 15 72
Direct
0.000 0.000 0.000
0.001 0.247 0.496
0.012 0.310 0.162
0.297 0.308 0.657
0.299 0.642 0.160
0.317 0.959 0.573
0.333 0.958 0.074
0.346 0.316 0.329
0.360 0.577 0.827
0.370 0.628 0.499
0.374 0.247 0.997
0.618 0.630 0.997
0.622 0.001 0.499
0.658 0.298 0.911
0.681 0.926 0.161
0.682 0.640 0.657
0.683 0.983 0.826
0.684 0.291 0.409
0.953 0.317 0.823
0.986 0.635 0.245
0.999 0.638 0.735
0.329 0.961 0.234
0.331 0.961 0.730
0.994 0.628 0.393
0.998 0.624 0.894
0.324 0.962 0.427
0.338 0.956 0.926
0.659 0.297 0.761
0.666 0.294 0.070
0.668 0.290 0.568
0.679 0.292 0.266
0.997 0.626 0.095
0.998 0.633 0.596
0.027 0.258 0.337
0.333 0.254 0.835
0.626 0.663 0.835
0.041 0.957 0.835
0.290 0.628 0.000
0.291 0.334 0.499
0.330 0.663 0.335
0.365 0.594 0.665
0.370 0.288 0.166
0.626 0.958 0.334
0.660 0.593 0.164
0.664 0.996 0.666
0.703 0.628 0.500
0.704 0.920 0.000
0.964 0.289 0.665
0.964 0.996 0.164
0.998 0.331 0.000
0.999 0.916 0.499
0.023 0.412 0.057
0.027 0.807 0.554
0.032 0.444 0.336
0.034 0.786 0.838
0.112 0.988 0.893
0.118 0.158 0.397
0.148 0.124 0.673
0.149 0.977 0.175
0.153 0.445 0.838
0.154 0.153 0.994
0.156 0.661 0.336
0.159 0.936 0.494
0.165 0.154 0.277
0.166 0.926 0.781
0.183 0.414 0.557
0.186 0.440 0.162
0.186 0.615 0.943
0.186 0.649 0.057
0.187 0.453 0.443
0.189 0.610 0.660
0.294 0.159 0.777
0.306 0.789 0.995
0.309 0.784 0.278
0.315 0.154 0.495
0.349 0.776 0.674
0.354 0.119 0.173
0.356 0.741 0.392
0.361 0.147 0.896
0.445 0.488 0.723
0.452 0.316 0.222
0.463 0.330 0.497
0.463 0.462 0.997
0.470 0.483 0.325
0.479 0.249 0.107
0.480 0.523 0.608
0.490 0.983 0.673
0.494 0.282 0.826
0.495 0.777 0.173
0.513 0.736 0.895
0.523 0.980 0.391
0.526 0.786 0.493
0.526 0.796 0.776
0.527 0.939 0.996
0.532 0.929 0.277
0.618 0.530 0.104
0.624 0.107 0.609
0.638 0.117 0.323
0.665 0.471 0.825
0.683 0.076 0.724
0.690 0.475 0.216
0.698 0.461 0.497
0.699 0.093 0.997
0.781 0.654 0.558
0.787 0.815 0.057
0.805 0.792 0.336
0.808 0.810 0.662
0.812 0.664 0.838
0.815 0.623 0.160
0.822 0.816 0.943
0.826 0.614 0.444
0.829 0.328 0.997
0.833 0.090 0.498
0.842 0.082 0.217
0.842 0.286 0.327
0.856 0.314 0.723
0.862 0.104 0.825
0.889 0.261 0.607
0.904 0.103 0.105
0.983 0.815 0.442
0.984 0.451 0.943
0.993 0.443 0.663
0.996 0.812 0.160
```

The value obtained for the total DFT energy (no corrections) is -6.606 eV per atom. As for the crystal system: triclinic.

***

Record 4
Crystalline HfTi3 at its relaxed geometry. Source: the Materials Project database, functional PBE.

```
HfTi3
1.0
6.027 0.000 0.000
-3.013 5.219 0.000
0.000 0.000 4.751
Hf Ti
2 6
Direct
0.333 0.667 0.250
0.667 0.333 0.750
0.161 0.323 0.750
0.161 0.839 0.750
0.323 0.161 0.250
0.677 0.839 0.750
0.839 0.161 0.250
0.839 0.677 0.250
```

The value obtained for the total DFT energy (no corrections) is -8.389 eV per atom. As for the crystal system: hexagonal.

***

Question: total DFT energy (no corrections) of number 1 (ThMn2Ge2)?
Answer: -7.466 eV per atom